Na9NbZn5P6S3O36: optimized geometry, PBE-GGA.

Cell and atoms, written as POSCAR:
```
Na9NbZn5P6S3O36
1.0
9.005 -0.014 0.019
-4.514 7.791 -0.019
0.048 -0.028 22.172
P O S Na Zn Nb
12 72 6 18 10 2
Cartesian
1.384 2.267 16.668
2.672 0.007 5.535
5.845 5.447 16.622
-2.639 5.195 9.296
1.327 2.880 9.249
2.684 5.174 20.336
-1.303 7.452 20.382
6.382 -0.006 16.656
-1.278 2.868 20.388
1.344 7.465 9.302
3.195 5.460 5.582
7.662 2.268 5.570
5.540 3.871 9.310
8.008 1.333 13.057
5.300 4.293 0.564
3.795 0.965 14.073
-1.814 5.429 10.568
-0.643 6.656 19.173
3.447 1.027 11.650
3.481 4.093 14.145
3.517 3.863 20.372
3.828 6.240 12.993
1.125 6.641 10.576
5.233 6.077 17.880
1.821 0.221 6.794
3.668 4.001 5.445
1.733 4.993 19.072
2.862 7.619 9.123
0.931 3.784 1.764
5.241 6.262 1.940
2.879 2.815 9.286
-0.921 6.510 5.732
5.528 4.023 2.987
0.973 6.446 16.819
5.430 1.170 16.515
3.333 6.324 4.343
5.138 1.044 9.304
2.670 2.418 0.619
5.225 4.047 16.498
7.949 1.481 6.847
1.160 1.497 17.968
-2.639 7.510 4.235
1.809 5.431 21.552
1.703 5.065 12.850
0.705 1.715 15.429
-2.821 7.600 20.194
0.689 6.664 8.094
-0.912 3.835 19.180
7.207 0.139 17.933
6.375 2.367 11.669
6.282 2.768 14.085
-1.583 5.307 16.818
-1.094 6.621 21.654
6.168 2.504 5.429
-1.619 5.021 8.087
2.884 2.587 16.531
-0.678 6.710 12.857
0.668 3.509 10.466
-1.684 5.025 1.771
0.709 3.736 16.837
0.667 6.742 1.736
1.585 5.310 5.751
1.712 0.094 13.026
1.008 3.795 7.986
-3.309 6.295 15.321
5.604 1.087 0.583
0.977 1.357 1.907
-0.652 1.476 20.209
-0.674 3.469 21.662
-0.991 3.815 12.822
-3.526 6.434 9.108
3.933 1.030 20.396
-0.613 1.752 4.292
2.662 2.731 3.059
3.750 6.039 6.882
3.755 4.243 11.705
3.599 6.405 20.182
0.719 1.473 9.096
-0.629 3.726 5.733
3.574 1.243 5.412
7.316 0.190 1.971
6.179 2.792 20.390
5.211 0.968 2.999
2.691 7.419 15.378
3.188 0.289 12.923
5.832 0.295 1.844
5.810 4.886 1.837
3.183 4.874 12.936
7.176 2.566 12.930
1.836 2.599 1.850
-2.843 5.449 12.970
6.250 0.236 20.274
1.691 2.248 20.242
2.986 4.932 16.585
3.365 5.203 9.156
-1.674 7.530 1.884
4.583 2.486 18.361
2.815 0.280 9.185
5.680 5.186 20.271
0.072 5.276 3.623
4.476 7.660 22.141
7.387 2.262 9.188
0.071 0.086 11.055
-1.198 2.597 1.879
1.667 7.503 12.965
1.688 2.740 5.499
-0.019 5.063 14.710
4.605 2.580 7.275
4.537 2.586 21.766
4.579 2.606 4.191
4.496 2.570 10.680
0.070 0.044 14.701
4.490 7.749 7.613
0.049 0.001 18.699
4.464 7.709 3.615
0.030 5.202 0.210
4.547 2.496 15.277
0.025 5.137 11.296
-0.012 5.213 6.923
-0.006 5.168 18.009
```

Computed properties:
ΔH_f (0 K) in eV/atom: -2.373
Total energy in hartree per atom: -0.22597
Calculated volume in Å³ per cell: 1554.2